Here is a geometry-optimized Na2GeF6 structure from the Materials Project. Energies are from PBE-GGA.

Cell: 9.232 9.232 5.190 Å, 90.00 90.00 120.00°
Atoms (fractional coordinates):
1 Na 0.000 0.375 0.000
2 Na 0.000 0.710 0.500
3 Na 0.290 0.290 0.500
4 Na 0.375 0.000 0.000
5 Na 0.625 0.625 0.000
6 Na 0.710 0.000 0.500
7 Ge 0.000 0.000 0.000
8 Ge 0.333 0.667 0.495
9 Ge 0.667 0.333 0.505
10 F 0.086 0.188 0.201
11 F 0.102 0.914 0.201
12 F 0.146 0.593 0.292
13 F 0.188 0.086 0.799
14 F 0.225 0.479 0.697
15 F 0.254 0.775 0.697
16 F 0.407 0.553 0.292
17 F 0.447 0.854 0.292
18 F 0.479 0.225 0.303
19 F 0.521 0.746 0.697
20 F 0.553 0.407 0.708
21 F 0.593 0.146 0.708
22 F 0.746 0.521 0.303
23 F 0.775 0.254 0.303
24 F 0.812 0.898 0.201
25 F 0.854 0.447 0.708
26 F 0.898 0.812 0.799
27 F 0.914 0.102 0.799

The piezoelectric modulus e_max comes out at 0.12 C/m². Its formation energy is -288 kJ/mol of atoms. As for the volume: 14.190 A^3/atom. As for the space group: No. 150. The polymorph energy (0 for the lowest one) is 0.00 eV/f.u.